A plane-wave DFT calculation with PBE+U was carried out for a relaxed Ba2SmVO6 crystal.

Structure (POSCAR):
```
Ba2SmVO6
1.0
0.0000 4.2255 4.2255
4.2255 0.0000 4.2255
4.2255 4.2255 0.0000
Ba Sm V O
2 1 1 6
Direct
0.2500 0.2500 0.2500 Ba
0.7500 0.7500 0.7500 Ba
0.0000 0.0000 0.0000 Sm
0.5000 0.5000 0.5000 V
0.2726 0.2726 0.7274 O
0.2726 0.7274 0.2726 O
0.2726 0.7274 0.7274 O
0.7274 0.2726 0.2726 O
0.7274 0.2726 0.7274 O
0.7274 0.7274 0.2726 O
```

Properties
**Raw total energy**: -7.27 eV per atom
**ΔE_f**: -31.16 eV/f.u.

***

A plane-wave DFT calculation with PBE+U was carried out for a relaxed Ba2SnWO6 crystal.

Structure (POSCAR):
```
Ba2SnWO6
1.0
0.0000 4.3611 4.3611
4.3611 0.0000 4.3611
4.3611 4.3611 0.0000
Ba Sn W O
2 1 1 6
Direct
0.2500 0.2500 0.2500 Ba
0.7500 0.7500 0.7500 Ba
0.0000 0.0000 0.0000 Sn
0.5000 0.5000 0.5000 W
0.2754 0.2754 0.7246 O
0.2754 0.7246 0.2754 O
0.2754 0.7246 0.7246 O
0.7246 0.2754 0.2754 O
0.7246 0.2754 0.7246 O
0.7246 0.7246 0.2754 O
```

Properties
**Raw total energy**: -6.70 eV per atom
**ΔE_f**: -25.11 eV/f.u.

***

A plane-wave DFT calculation with PBE+U was carried out for a relaxed Ba2SnWO6 crystal.

Structure (POSCAR):
```
Ba2SnWO6
1.0
8.7153 0.0000 0.0000
0.0000 8.7153 0.0000
0.0000 0.0000 8.7153
Ba Sn W O
8 4 4 24
Direct
0.2500 0.2500 0.2500 Ba
0.2500 0.2500 0.7500 Ba
0.2500 0.7500 0.2500 Ba
0.2500 0.7500 0.7500 Ba
0.7500 0.2500 0.2500 Ba
0.7500 0.2500 0.7500 Ba
0.7500 0.7500 0.2500 Ba
0.7500 0.7500 0.7500 Ba
0.0000 0.0000 0.0000 Sn
0.0000 0.5000 0.5000 Sn
0.5000 0.0000 0.5000 Sn
0.5000 0.5000 0.0000 Sn
0.0000 0.0000 0.5000 W
0.0000 0.5000 0.0000 W
0.5000 0.0000 0.0000 W
0.5000 0.5000 0.5000 W
0.0259 0.5295 0.7780 O
0.0259 0.9705 0.7220 O
0.0295 0.2220 0.5259 O
0.0295 0.2780 0.9741 O
0.2220 0.5259 0.0295 O
0.2220 0.9741 0.4705 O
0.2780 0.5259 0.4705 O
0.2780 0.9741 0.0295 O
0.4705 0.2220 0.9741 O
0.4705 0.2780 0.5259 O
0.4741 0.5295 0.7220 O
0.4741 0.9705 0.7780 O
0.5259 0.0295 0.2220 O
0.5259 0.4705 0.2780 O
0.5295 0.7220 0.4741 O
0.5295 0.7780 0.0259 O
0.7220 0.0259 0.9705 O
0.7220 0.4741 0.5295 O
0.7780 0.0259 0.5295 O
0.7780 0.4741 0.9705 O
0.9705 0.7220 0.0259 O
0.9705 0.7780 0.4741 O
0.9741 0.0295 0.2780 O
0.9741 0.4705 0.2220 O
```

Properties
**Raw total energy**: -6.71 eV per atom
**ΔE_f**: -25.21 eV/f.u.

***

Number 3 is which compound?
Ba2SnWO6